(1)
Compound: LiMnP2HO7
Source: the Materials Project
Functional: PBE+U
Structure: relaxed

Lattice parameters (Å, degrees): 6.3341 6.5200 7.5184 100.10 96.00 111.36
Last column: nearest neighbours and their distance in Å.
Element x y z (fractional)
Li 0.1008 0.1698 0.3958  4 O 1.98-2.14
Li 0.8992 0.8302 0.6042  4 O 1.98-2.14
Mn 0.2291 0.7081 0.1996  5 O 2.15-2.36
Mn 0.7709 0.2919 0.8004  5 O 2.15-2.36
P 0.2525 0.3268 0.8173  4 O 1.53-1.61
P 0.3807 0.7188 0.6394  4 O 1.52-1.61
P 0.6193 0.2812 0.3606  4 O 1.52-1.61
P 0.7475 0.6732 0.1827  4 O 1.53-1.61
H 0.2958 0.9760 0.8027  1 O 1.06
H 0.7042 0.0240 0.1973  1 O 1.06
O 0.0589 0.1799 0.6547  1 P 1.53
O 0.1408 0.3988 0.9752  1 P 1.53
O 0.2050 0.8053 0.7318  1 H 1.06
O 0.2725 0.5865 0.4431  1 P 1.52
O 0.3825 0.0902 0.3275  1 P 1.52
O 0.4169 0.5463 0.7559  2 P 1.61
O 0.4204 0.2150 0.8666  1 H 1.43, 1 P 1.54
O 0.5796 0.7850 0.1334  1 H 1.43, 1 P 1.54
O 0.5831 0.4537 0.2441  2 P 1.61
O 0.6175 0.9098 0.6725  1 P 1.52
O 0.7275 0.4135 0.5569  1 P 1.52
O 0.7950 0.1947 0.2682  1 H 1.06
O 0.8592 0.6012 0.0248  1 P 1.53
O 0.9411 0.8201 0.3453  1 P 1.53

Total energy, Ry/atom: -0.506
Energy relative to the lowest polymorph listed for this composition, eV per formula unit: 0.20

---

(2)
Compound: MgNb4Ni2O12
Source: the Materials Project
Functional: PBE+U
Structure: relaxed

Lattice parameters (Å, degrees): 4.8703 9.0342 4.9739 90.00 90.03 90.00
Last column: nearest neighbours and their distance in Å.
Element x y z (fractional)
Mg 0.0000 0.0000 0.0000  6 O 1.94-2.12
Nb 0.0000 0.1820 0.5000  6 O 1.95-2.10
Nb 0.0000 0.8180 0.5000  6 O 1.95-2.10
Nb 0.5000 0.3507 0.0000  6 O 2.02-2.26
Nb 0.5000 0.6493 0.0000  6 O 2.02-2.26
Ni 0.0000 0.5000 0.5000  6 O 1.98-2.15
Ni 0.5000 0.0000 0.0000  6 O 2.07-2.18
O 0.2076 0.0000 0.6677  1 Mg 1.94, 2 Nb 2.10
O 0.2270 0.3256 0.6911  2 Nb 1.95-2.04, 1 Ni 2.15
O 0.2270 0.6744 0.6911  2 Nb 1.95-2.04, 1 Ni 2.15
O 0.2578 0.1611 0.1780  2 Nb 2.04-2.26, 1 Ni 2.07, 1 Mg 2.12
O 0.2578 0.8389 0.1780  2 Nb 2.04-2.26, 1 Ni 2.07, 1 Mg 2.12
O 0.2722 0.5000 0.2038  1 Ni 1.98, 2 Nb 2.02
O 0.7278 0.5000 0.7962  1 Ni 1.98, 2 Nb 2.02
O 0.7422 0.1611 0.8220  2 Nb 2.04-2.26, 1 Ni 2.07, 1 Mg 2.12
O 0.7422 0.8389 0.8220  2 Nb 2.04-2.26, 1 Ni 2.07, 1 Mg 2.12
O 0.7730 0.3256 0.3089  2 Nb 1.95-2.04, 1 Ni 2.15
O 0.7730 0.6744 0.3089  2 Nb 1.95-2.04, 1 Ni 2.15
O 0.7924 0.0000 0.3323  1 Mg 1.94, 2 Nb 2.10

Total energy, Ry/atom: -0.567
Energy relative to the lowest polymorph listed for this composition, eV per formula unit: 0.00

---

(3)
Compound: MgCo5SbO8
Source: the Materials Project
Functional: PBE+U
Structure: relaxed

Lattice parameters (Å, degrees): 6.2092 6.2092 6.3632 118.18 118.18 61.02
Last column: nearest neighbours and their distance in Å.
Element x y z (fractional)
Mg 0.0000 0.0000 0.0000  4 O 1.93-2.11
Co 0.2954 0.8206 0.5239  5 O 2.06-2.25
Co 0.3075 0.3075 0.4001  4 O 1.98-2.03
Co 0.4128 0.4128 0.9178  4 O 2.01-2.14
Co 0.7386 0.7386 0.9757  5 O 2.01-2.15
Co 0.8206 0.2954 0.5239  5 O 2.06-2.25
Sb 0.7878 0.7878 0.4907  6 O 2.06-2.30
O 0.0231 0.5930 0.2674  2 Co 1.99-2.08, 1 Sb 2.06
O 0.0270 0.0270 0.7169  1 Mg 1.97, 2 Co 2.08, 1 Sb 2.14
O 0.0300 0.6059 0.8097  2 Co 2.01-2.15, 1 Mg 2.11
O 0.1117 0.1117 0.3632  1 Mg 1.93, 3 Co 1.98-2.06
O 0.5185 0.5185 0.7128  5 Co 2.01-2.22
O 0.5527 0.5527 0.2963  3 Co 2.02-2.18, 1 Sb 2.11
O 0.5930 0.0231 0.2674  2 Co 1.99-2.08, 1 Sb 2.06
O 0.6059 0.0300 0.8097  2 Co 2.01-2.15, 1 Mg 2.11

Total energy, Ry/atom: -0.431
Energy relative to the lowest polymorph listed for this composition, eV per formula unit: 0.34

---

(4)
Compound: BaVP2H4O10
Source: the Materials Project
Functional: PBE+U
Structure: relaxed

Lattice parameters (Å, degrees): 10.9852 6.4937 14.1863 90.00 127.12 90.00
Last column: nearest neighbours and their distance in Å.
Element x y z (fractional)
Ba 0.2080 0.1370 0.0531  9 O 2.77-3.07
Ba 0.2080 0.3630 0.5531  9 O 2.77-3.07
Ba 0.7920 0.6370 0.4469  9 O 2.77-3.07
Ba 0.7920 0.8630 0.9469  9 O 2.77-3.07
V 0.1866 0.0183 0.3177  1 O 1.63
V 0.1866 0.4817 0.8177  1 O 1.63
V 0.8134 0.5183 0.1823  1 O 1.63
V 0.8134 0.9817 0.6823  1 O 1.63
P 0.1589 0.5044 0.2628  4 O 1.55-1.57
P 0.1589 0.9956 0.7628  4 O 1.55-1.57
P 0.4604 0.6154 0.1135  4 O 1.52-1.59
P 0.4604 0.8846 0.6135  4 O 1.52-1.59
P 0.5396 0.1154 0.3865  4 O 1.52-1.59
P 0.5396 0.3846 0.8865  4 O 1.52-1.59
P 0.8411 0.0044 0.2372  4 O 1.55-1.57
P 0.8411 0.4956 0.7372  4 O 1.55-1.57
H 0.0672 0.6620 0.9494  1 O 0.99
H 0.0672 0.8380 0.4494  1 O 0.99
H 0.1374 0.6444 0.0845  1 O 1.00
H 0.1374 0.8556 0.5845  1 O 1.00
H 0.3559 0.6657 0.4701  1 O 1.03
H 0.3559 0.8343 0.9701  1 O 1.03
H 0.3756 0.5821 0.2232  1 O 1.03
H 0.3756 0.9179 0.7232  1 O 1.03
H 0.6244 0.0821 0.2768  1 O 1.03
H 0.6244 0.4179 0.7768  1 O 1.03
H 0.6441 0.1657 0.0299  1 O 1.03
H 0.6441 0.3343 0.5299  1 O 1.03
H 0.8626 0.1444 0.4155  1 O 1.00
H 0.8626 0.3556 0.9155  1 O 1.00
H 0.9328 0.1620 0.5506  1 O 0.99
H 0.9328 0.3380 0.0506  1 O 0.99
O 0.0176 0.0132 0.3363  1 P 1.57
O 0.0176 0.4868 0.8363  1 P 1.57
O 0.0752 0.0087 0.1735  1 V 1.63
O 0.0752 0.4913 0.6735  1 V 1.63
O 0.0847 0.7421 0.0163  2 H 0.99-1.00
O 0.0847 0.7579 0.5163  2 H 0.99-1.00
O 0.2003 0.1775 0.8485  1 P 1.55
O 0.2003 0.3225 0.3485  1 P 1.55
O 0.2169 0.7014 0.3418  1 H 1.53, 1 P 1.56
O 0.2169 0.7986 0.8418  1 H 1.53, 1 P 1.56
O 0.2323 0.0200 0.6984  2 H 1.54-1.67, 1 P 1.55
O 0.2323 0.4800 0.1984  2 H 1.54-1.67, 1 P 1.55
O 0.3283 0.0207 0.5199  1 P 1.53
O 0.3283 0.4793 0.0199  1 P 1.53
O 0.3822 0.0344 0.3382  1 P 1.52
O 0.3822 0.4656 0.8382  1 P 1.52
O 0.4328 0.6584 0.5611  1 H 1.03
O 0.4328 0.8416 0.0611  1 H 1.03
O 0.4655 0.6427 0.2272  1 H 1.03
O 0.4655 0.8573 0.7272  1 H 1.03
O 0.5345 0.1427 0.2728  1 H 1.03
O 0.5345 0.3573 0.7728  1 H 1.03
O 0.5672 0.1584 0.9389  1 H 1.03
O 0.5672 0.3416 0.4389  1 H 1.03
O 0.6178 0.5344 0.1618  1 P 1.52
O 0.6178 0.9656 0.6618  1 P 1.52
O 0.6717 0.5207 0.9801  1 P 1.53
O 0.6717 0.9793 0.4801  1 P 1.53
O 0.7677 0.5200 0.8016  2 H 1.54-1.67, 1 P 1.55
O 0.7677 0.9800 0.3016  2 H 1.54-1.67, 1 P 1.55
O 0.7831 0.2014 0.1582  1 H 1.53, 1 P 1.56
O 0.7831 0.2986 0.6582  1 H 1.53, 1 P 1.56
O 0.7997 0.6775 0.6515  1 P 1.55
O 0.7997 0.8225 0.1515  1 P 1.55
O 0.9153 0.2421 0.4837  2 H 0.99-1.00
O 0.9153 0.2579 0.9837  2 H 0.99-1.00
O 0.9248 0.5087 0.3265  1 V 1.63
O 0.9248 0.9913 0.8265  1 V 1.63
O 0.9824 0.5132 0.1637  1 P 1.57
O 0.9824 0.9868 0.6637  1 P 1.57

Total energy, Ry/atom: -0.485

---

(5)
Compound: K2ThMo3O12
Source: the Materials Project
Functional: PBE+U
Structure: relaxed

Lattice parameters (Å, degrees): 10.9649 10.9649 5.4656 102.33 102.33 68.61
Last column: nearest neighbours and their distance in Å.
Element x y z (fractional)
K 0.0439 0.2903 0.4122  7 O 2.74-2.96
K 0.2903 0.0439 0.9122  7 O 2.74-2.96
K 0.7097 0.9561 0.0878  7 O 2.74-2.96
K 0.9561 0.7097 0.5878  7 O 2.74-2.96
Th 0.3720 0.6280 0.7500  8 O 2.35-2.60
Th 0.6280 0.3720 0.2500  8 O 2.35-2.60
Mo 0.1440 0.8560 0.2500  4 O 1.76-1.85
Mo 0.2364 0.4572 0.1105  4 O 1.75-1.92
Mo 0.4572 0.2364 0.6105  4 O 1.75-1.92
Mo 0.5428 0.7636 0.3895  4 O 1.75-1.92
Mo 0.7636 0.5428 0.8895  4 O 1.75-1.92
Mo 0.8560 0.1440 0.7500  4 O 1.76-1.85
O 0.0119 0.1359 0.9271  1 Mo 1.76
O 0.0951 0.5001 0.2529  1 Mo 1.75
O 0.1359 0.0119 0.4271  1 Mo 1.76
O 0.1883 0.7317 0.4656  1 Mo 1.85
O 0.2086 0.5765 0.8971  1 Mo 1.84
O 0.2541 0.3044 0.9123  1 Mo 1.76
O 0.2683 0.8117 0.0344  1 Mo 1.85
O 0.3044 0.2541 0.4123  1 Mo 1.76
O 0.3870 0.4695 0.3555  1 Mo 1.92
O 0.4235 0.7914 0.6029  1 Mo 1.84
O 0.4695 0.3870 0.8555  1 Mo 1.92
O 0.5001 0.0951 0.7529  1 Mo 1.75
O 0.4999 0.9049 0.2471  1 Mo 1.75
O 0.5305 0.6130 0.1445  1 Mo 1.92
O 0.5765 0.2086 0.3971  1 Mo 1.84
O 0.6130 0.5305 0.6445  1 Mo 1.92
O 0.6956 0.7459 0.5877  1 Mo 1.76
O 0.7317 0.1883 0.9656  1 Mo 1.85
O 0.7459 0.6956 0.0877  1 Mo 1.76
O 0.7914 0.4235 0.1029  1 Mo 1.84
O 0.8117 0.2683 0.5344  1 Mo 1.85
O 0.8641 0.9881 0.5729  1 Mo 1.76
O 0.9049 0.4999 0.7471  1 Mo 1.75
O 0.9881 0.8641 0.0729  1 Mo 1.76

Total energy, Ry/atom: -0.525
Energy relative to the lowest polymorph listed for this composition, eV per formula unit: 0.00